Record 1
A geometry-optimized BaTm2NiO5 structure, computed with PBE+U.

```
data_BaTm2NiO5
_chemical_formula_sum 'Ba2 Tm4 Ni2 O10'
_symmetry_space_group_name_H-M 'I m m m'
_symmetry_Int_Tables_number 71
_symmetry_space_group_name_Hall '-I 2 2'
_cell_length_a 3.770
_cell_length_b 5.740
_cell_length_c 11.282
_cell_angle_alpha 90.00
_cell_angle_beta 90.00
_cell_angle_gamma 90.00
loop_
_atom_site_label
_atom_site_fract_x
_atom_site_fract_y
_atom_site_fract_z
Ba1 0.000 0.000 0.000
Tm1 0.000 0.500 0.204
Ni1 0.000 0.000 0.500
O1 0.000 0.239 0.348
O2 0.000 0.500 0.000
```

Computed properties:
The density comes out at 8.35 g/cm3. For the energy relative to the elements, the calculation gives -3.160 eV per atom. Its crystal system is orthorhombic. For the total energy, the calculation gives -7.095 eV/atom.

***

Record 2
A geometry-optimized BaTm2NiO5 structure, computed with PBE+U.

```
data_BaTm2NiO5
_chemical_formula_sum 'Ba4 Tm8 Ni4 O20'
_symmetry_space_group_name_H-M 'P n m a'
_symmetry_Int_Tables_number 62
_cell_length_a 12.245
_cell_length_b 5.676
_cell_length_c 7.010
_cell_angle_alpha 90.00
_cell_angle_beta 90.00
_cell_angle_gamma 90.00
loop_
_symmetry_equiv_pos_as_xyz
'x,y,z'
'-x,-y,-z'
'-x+1/2,-y,z+1/2'
'x+1/2,y,-z+1/2'
'x+1/2,-y+1/2,-z+1/2'
'-x+1/2,y+1/2,z+1/2'
'-x,y+1/2,-z'
'x,-y+1/2,z'
loop_
_atom_site_label
_atom_site_fract_x
_atom_site_fract_y
_atom_site_fract_z
Ba1 0.098 0.250 0.075
Tm1 0.074 0.750 0.398
Tm2 0.208 0.250 0.619
Ni1 0.156 0.750 0.803
O1 0.066 0.502 0.665
O2 0.104 0.750 0.075
O3 0.225 0.000 0.361
```

Computed properties:
The density comes out at 8.37 g/cm3. For the energy relative to the elements, the calculation gives -3.178 eV per atom. Its crystal system is orthorhombic. For the total energy, the calculation gives -7.113 eV/atom.

***

Record 3
A geometry-optimized Ba2YNi3O7 structure, computed with PBE+U.

```
data_Ba2YNi3O7
_chemical_formula_sum 'Ba8 Y4 Ni12 O28'
_symmetry_space_group_name_H-M 'C m m m'
_symmetry_Int_Tables_number 65
_symmetry_space_group_name_Hall '-C 2 2'
_cell_length_a 7.769
_cell_length_b 8.050
_cell_length_c 11.515
_cell_angle_alpha 90.00
_cell_angle_beta 90.00
_cell_angle_gamma 90.00
loop_
_atom_site_label
_atom_site_fract_x
_atom_site_fract_y
_atom_site_fract_z
Ba1 0.250 0.250 0.184
Y1 0.250 0.250 0.500
Ni1 0.000 0.000 0.000
Ni2 0.000 0.000 0.339
Ni3 0.000 0.500 0.000
Ni4 0.000 0.500 0.343
O1 0.000 0.000 0.163
O2 0.000 0.252 0.376
O3 0.000 0.265 0.000
O4 0.000 0.500 0.161
O5 0.249 0.500 0.377
```

Computed properties:
The density comes out at 6.01 g/cm3. For the energy relative to the elements, the calculation gives -2.167 eV per atom. Its crystal system is orthorhombic. For the total energy, the calculation gives -6.002 eV/atom.

***

Record 4
A geometry-optimized Ba3Y4Ni3O15 structure, computed with PBE+U.

```
data_Ba3Y4Ni3O15
_chemical_formula_sum 'Ba6 Y8 Ni6 O30'
_symmetry_space_group_name_H-M 'C 1 2/m 1'
_symmetry_Int_Tables_number 12
_cell_length_a 11.557
_cell_length_b 5.693
_cell_length_c 11.484
_cell_angle_alpha 90.00
_cell_angle_beta 108.75
_cell_angle_gamma 90.00
loop_
_symmetry_equiv_pos_as_xyz
'x,y,z'
'-x,-y,-z'
'-x,y,-z'
'x,-y,z'
'x+1/2,y+1/2,z'
'-x+1/2,-y+1/2,-z'
'-x+1/2,y+1/2,-z'
'x+1/2,-y+1/2,z'
loop_
_atom_site_label
_atom_site_fract_x
_atom_site_fract_y
_atom_site_fract_z
Ba1 0.000 0.000 0.000
Ba2 0.006 0.000 0.675
Y1 0.208 0.500 0.073
Y2 0.208 0.500 0.401
Ni1 0.000 0.500 0.500
Ni2 0.011 0.500 0.835
O1 0.000 0.500 0.000
O2 0.001 0.500 0.668
O3 0.124 0.284 0.211
O4 0.132 0.260 0.524
O5 0.140 0.263 0.895
```

Computed properties:
The density comes out at 5.49 g/cm3. For the energy relative to the elements, the calculation gives -2.495 eV per atom. Its crystal system is monoclinic. For the total energy, the calculation gives -6.705 eV/atom.

***

Question: Among the records above, which one has the lowest density?
Answer: Ba3Y4Ni3O15

***

Question: Which formula does entry 4 have?
Answer: Ba3Y4Ni3O15

***

Question: What is the density in the fourth record?
Answer: 5.49 g/cm3

***

What did the first record say?
A geometry-optimized BaTm2NiO5 structure, computed with PBE+U.

```
data_BaTm2NiO5
_chemical_formula_sum 'Ba2 Tm4 Ni2 O10'
_symmetry_space_group_name_H-M 'I m m m'
_symmetry_Int_Tables_number 71
_symmetry_space_group_name_Hall '-I 2 2'
_cell_length_a 3.770
_cell_length_b 5.740
_cell_length_c 11.282
_cell_angle_alpha 90.00
_cell_angle_beta 90.00
_cell_angle_gamma 90.00
loop_
_atom_site_label
_atom_site_fract_x
_atom_site_fract_y
_atom_site_fract_z
Ba1 0.000 0.000 0.000
Tm1 0.000 0.500 0.204
Ni1 0.000 0.000 0.500
O1 0.000 0.239 0.348
O2 0.000 0.500 0.000
```

Computed properties:
The density comes out at 8.35 g/cm3. For the energy relative to the elements, the calculation gives -3.160 eV per atom. Its crystal system is orthorhombic. For the total energy, the calculation gives -7.095 eV/atom.